# 1
Material: Hg2TeO5
Method: DFT, PBE
State: optimized geometry

Unit cell a=7.518 b=6.060 c=10.133 alpha=90.00 beta=90.00 gamma=90.00
Atoms (fractional coordinates):
Hg 0.025 0.225 0.000
Hg 0.231 0.228 0.663
Hg 0.269 0.728 0.163
Hg 0.475 0.725 0.500
Hg 0.525 0.275 0.000
Hg 0.731 0.272 0.663
Hg 0.769 0.772 0.163
Hg 0.975 0.775 0.500
Te 0.134 0.741 0.833
Te 0.366 0.241 0.333
Te 0.634 0.759 0.833
Te 0.866 0.259 0.333
O 0.058 0.042 0.784
O 0.091 0.839 0.018
O 0.119 0.368 0.333
O 0.162 0.654 0.649
O 0.211 0.455 0.892
O 0.289 0.955 0.392
O 0.338 0.154 0.149
O 0.381 0.868 0.833
O 0.409 0.339 0.518
O 0.442 0.542 0.284
O 0.558 0.458 0.784
O 0.591 0.661 0.018
O 0.619 0.132 0.333
O 0.662 0.846 0.649
O 0.711 0.045 0.892
O 0.789 0.545 0.392
O 0.838 0.346 0.149
O 0.881 0.632 0.833
O 0.909 0.161 0.518
O 0.942 0.958 0.284

Summary:
Crystal system   orthorhombic
Formation energy from the elements   -1.057 eV per atom

# 2
Material: Na3GeSe3
Method: DFT, PBE
State: optimized geometry

Unit cell a=8.459 b=12.080 c=8.362 alpha=90.00 beta=119.04 gamma=90.00
Atoms (fractional coordinates):
Na 0.005 0.162 0.024
Na 0.005 0.338 0.524
Na 0.229 0.059 0.515
Na 0.229 0.441 0.015
Na 0.469 0.730 0.225
Na 0.469 0.770 0.725
Na 0.531 0.230 0.275
Na 0.531 0.270 0.775
Na 0.771 0.559 0.985
Na 0.771 0.941 0.485
Na 0.995 0.662 0.476
Na 0.995 0.838 0.976
Ge 0.340 0.010 0.963
Ge 0.340 0.490 0.463
Ge 0.660 0.510 0.537
Ge 0.660 0.990 0.037
Se 0.161 0.619 0.227
Se 0.161 0.881 0.727
Se 0.254 0.198 0.868
Se 0.254 0.302 0.368
Se 0.330 0.531 0.736
Se 0.330 0.969 0.236
Se 0.670 0.031 0.764
Se 0.670 0.469 0.264
Se 0.746 0.698 0.632
Se 0.746 0.802 0.132
Se 0.839 0.119 0.273
Se 0.839 0.381 0.773

Summary:
Crystal system   monoclinic
Formation energy from the elements   -1.069 eV per atom